Arrangement 1

Computed, not measured: a relaxed NaMnPCO7 crystal at the PBE with a Hubbard U level of DFT.

Cell: 8.1717 8.1717 10.2744 Å, 72.30 72.30 100.43°
Closest atoms and distances in Å follow each position.
Element x y z (fractional)
P 0.3055 0.3055 0.4302  4 O 1.55-1.57
C 0.2207 0.7193 0.0770  3 O 1.23-1.33
C 0.2722 0.2722 0.9328  3 O 1.23-1.35
P 0.2012 0.6986 0.5689  4 O 1.54-1.56
Mn 0.4411 0.4411 0.6665  6 O 1.94-2.06
O 0.3532 0.8408 0.4269  1 P 1.54
C 0.7816 0.7816 0.9173  3 O 1.24-1.32
O 0.5786 0.0751 0.1416  1 C 1.32
O 0.1878 0.1878 0.0660  1 C 1.23
O 0.7140 0.9058 0.3304  1 P 1.56
Na 0.2693 0.9812 0.7536  2 O 2.21-2.42
O 0.2686 0.5766 0.6753  1 P 1.55
O 0.6515 0.6515 0.5758  1 P 1.53
O 0.1577 0.1577 0.5743  1 P 1.55
O 0.0751 0.5786 0.1416  1 C 1.32
P 0.7965 0.7965 0.4327  4 O 1.53-1.56
O 0.4320 0.4320 0.4709  1 P 1.57
O 0.2631 0.7644 0.1789  1 C 1.33
O 0.3063 0.7977 0.9429  1 C 1.23
O 0.8408 0.3532 0.4269  1 P 1.54
Na 0.5100 0.7578 0.2341  5 O 2.26-2.49
O 0.7889 0.0950 0.6646  1 P 1.56
Na 0.9812 0.2693 0.7536  2 O 2.21-2.42
O 0.7977 0.3063 0.9429  1 C 1.23
O 0.4217 0.2269 0.3302  1 P 1.55
O 0.4148 0.4148 0.8709  1 C 1.31
O 0.2309 0.2309 0.8267  1 C 1.35
Na 0.7578 0.5100 0.2341  5 O 2.26-2.49
O 0.9227 0.9227 0.4721  1 P 1.55
O 0.2269 0.4217 0.3302  1 P 1.55
O 0.5766 0.2686 0.6753  1 P 1.55
O 0.7644 0.2631 0.1789  1 C 1.33
O 0.7015 0.7015 0.0536  1 C 1.24
O 0.7358 0.7358 0.8187  1 C 1.31
O 0.9058 0.7140 0.3304  1 P 1.56
O 0.0950 0.7889 0.6646  1 P 1.56
P 0.6986 0.2012 0.5689  4 O 1.54-1.56
Mn 0.9357 0.9357 0.6513  6 O 1.91-2.07
O 0.5756 0.0740 0.5268  1 P 1.56
O 0.0740 0.5756 0.5268  1 P 1.56
O 0.9253 0.9253 0.8524  1 C 1.32
Mn 0.0613 0.5619 0.3428  6 O 1.93-2.00
C 0.7193 0.2207 0.0770  3 O 1.23-1.33
Mn 0.5619 0.0613 0.3428  6 O 1.93-2.00

Computed properties:
Its space group is No. 8.

Arrangement 2

Computed, not measured: a relaxed NaMnPCO7 crystal at the PBE with a Hubbard U level of DFT.

Cell: 8.1425 8.1585 10.3553 Å, 108.49 106.36 100.09°
Closest atoms and distances in Å follow each position.
Element x y z (fractional)
O 0.6707 0.4204 0.5224  1 P 1.56
O 0.8371 0.0736 0.4767  1 P 1.56
C 0.0342 0.7752 0.0825  3 O 1.23-1.33
Na 0.4807 0.0294 0.7569  3 O 2.23-2.48
O 0.9018 0.6494 0.4263  1 P 1.54
Mn 0.1945 0.9322 0.3429  6 O 1.90-1.99
O 0.5398 0.5888 0.3342  1 P 1.56
O 0.3354 0.5716 0.4779  1 P 1.55
O 0.1789 0.9151 0.1437  1 C 1.32
O 0.6749 0.4185 0.1437  1 C 1.32
O 0.9933 0.7314 0.1853  1 C 1.33
O 0.8220 0.0810 0.8535  1 C 1.33
Na 0.7249 0.7535 0.2364  4 O 2.25-2.51
C 0.4681 0.7256 0.9198  3 O 1.23-1.35
O 0.4766 0.4199 0.6732  1 P 1.55
O 0.4389 0.2057 0.9519  1 C 1.23
Na 0.7763 0.7340 0.7573  3 O 2.24-2.47
O 0.8405 0.2743 0.3320  1 P 1.55
O 0.9651 0.9080 0.6674  1 P 1.56
O 0.0477 0.3028 0.0493  1 C 1.23
O 0.4881 0.2367 0.1859  1 C 1.33
C 0.5278 0.2816 0.0834  3 O 1.23-1.33
O 0.6528 0.2108 0.6611  1 P 1.55
O 0.3259 0.5854 0.8599  1 C 1.31
P 0.0483 0.7951 0.5653  4 O 1.54-1.56
O 0.9474 0.6974 0.9509  1 C 1.23
Na 0.2231 0.2557 0.2373  4 O 2.25-2.52
P 0.5459 0.2973 0.5656  4 O 1.54-1.56
Mn 0.6951 0.4316 0.3431  6 O 1.89-1.99
O 0.3955 0.1557 0.4269  1 P 1.54
O 0.5540 0.8078 0.0508  1 C 1.23
Mn 0.3077 0.5580 0.6594  6 O 1.92-2.00
O 0.6000 0.8468 0.5780  1 P 1.55
Mn 0.8166 0.0668 0.6559  6 O 1.93-2.04
O 0.5097 0.7674 0.8150  1 C 1.35
O 0.1652 0.7229 0.6668  1 P 1.54
O 0.3464 0.7801 0.3375  1 P 1.54
O 0.0343 0.0830 0.3287  1 P 1.56
O 0.0095 0.2682 0.8161  1 C 1.32
P 0.9571 0.2013 0.4333  4 O 1.53-1.56
O 0.1717 0.9194 0.5222  1 P 1.56
O 0.1017 0.3487 0.5704  1 P 1.53
P 0.4557 0.6998 0.4360  4 O 1.54-1.56
C 0.9664 0.2245 0.9169  3 O 1.23-1.33

Computed properties:
Its space group is No. 1.

We find arrangement 2 to be the most stable, with the next structure 1.3 kJ/mol of atoms higher.

Arrangement 1

Computed, not measured: a relaxed Na5Mn2P2C2O14 crystal at the PBE with a Hubbard U level of DFT.

Cell: 6.6178 9.0736 10.5905 Å, 89.25 90.00 90.00°
Closest atoms and distances in Å follow each position.
Element x y z (fractional)
P 0.7500 0.5761 0.1485  4 O 1.55-1.56
Na 0.5065 0.7442 0.3685  4 O 2.30-2.47
O 0.9396 0.6671 0.1093  1 P 1.56
O 0.7500 0.1421 0.9659  1 C 1.32
Mn 0.7500 0.3580 0.8893  5 O 2.02-2.18
O 0.7500 0.5576 0.2956  1 P 1.56
C 0.7500 0.0659 0.3701  3 O 1.28-1.32
P 0.7500 0.5805 0.6501  4 O 1.54-1.58
O 0.7500 0.9299 0.8545  1 C 1.27
O 0.7500 0.1375 0.4781  1 C 1.32
Na 0.0006 0.7624 0.8862  5 O 2.27-2.54
C 0.2500 0.9298 0.1412  3 O 1.27-1.32
O 0.2500 0.0755 0.6252  1 C 1.28
O 0.5604 0.6671 0.1093  1 P 1.56
Na 0.4935 0.2558 0.6315  4 O 2.30-2.47
O 0.2500 0.4451 0.2021  1 P 1.58
P 0.2500 0.4195 0.3499  4 O 1.54-1.58
Na 0.9935 0.7442 0.3685  4 O 2.30-2.47
O 0.2500 0.5778 0.9131  1 P 1.55
O 0.7500 0.4299 0.5842  1 P 1.54
O 0.2500 0.5701 0.4158  1 P 1.54
O 0.7500 0.1510 0.7560  1 C 1.30
Na 0.0065 0.2558 0.6315  4 O 2.30-2.47
Na 0.9994 0.2376 0.1138  5 O 2.27-2.54
O 0.9349 0.6763 0.6135  1 P 1.55
C 0.7500 0.0702 0.8588  3 O 1.27-1.32
O 0.7500 0.5549 0.7979  1 P 1.58
Na 0.7500 0.9215 0.6191  6 O 2.45-2.59
O 0.0604 0.3329 0.8907  1 P 1.56
Na 0.5006 0.2376 0.1138  5 O 2.27-2.54
O 0.2500 0.8625 0.5219  1 C 1.32
Na 0.4994 0.7624 0.8862  5 O 2.27-2.54
O 0.4396 0.3329 0.8907  1 P 1.56
O 0.2500 0.8490 0.2440  1 C 1.30
Mn 0.2500 0.6420 0.1107  5 O 2.02-2.18
O 0.5651 0.6763 0.6135  1 P 1.55
O 0.2500 0.0701 0.1455  1 C 1.27
Mn 0.2500 0.6449 0.6119  6 O 2.07-2.32
Mn 0.7500 0.3551 0.3881  6 O 2.07-2.32
O 0.2500 0.8579 0.0341  1 C 1.32
O 0.7500 0.9245 0.3748  1 C 1.28
O 0.2500 0.8560 0.7330  1 C 1.29
O 0.2500 0.4424 0.7044  1 P 1.56
O 0.7500 0.1440 0.2670  1 C 1.29
O 0.7500 0.4222 0.0869  1 P 1.55
O 0.0651 0.3237 0.3865  1 P 1.55
P 0.2500 0.4239 0.8515  4 O 1.55-1.56
O 0.4349 0.3237 0.3865  1 P 1.55
Na 0.2500 0.0785 0.3809  6 O 2.45-2.59
C 0.2500 0.9341 0.6299  3 O 1.28-1.32

Computed properties:
Its space group is No. 11.

Arrangement 2

Computed, not measured: a relaxed Na5Mn2P2C2O14 crystal at the PBE with a Hubbard U level of DFT.

Cell: 6.6349 9.0744 10.5273 Å, 90.91 90.25 90.30°
Closest atoms and distances in Å follow each position.
Element x y z (fractional)
O 0.2337 0.8540 0.7583  1 C 1.29
O 0.0630 0.3313 0.1131  1 P 1.55
O 0.7659 0.9258 0.6378  1 C 1.27
O 0.7514 0.9220 0.1390  1 C 1.28
C 0.7532 0.0658 0.6355  3 O 1.27-1.32
O 0.9377 0.6760 0.8911  1 P 1.56
Mn 0.2546 0.6483 0.8832  5 O 2.04-2.21
O 0.0638 0.3184 0.6151  1 P 1.55
Mn 0.7516 0.3565 0.1112  5 O 2.04-2.23
O 0.7574 0.5527 0.7065  1 P 1.54
P 0.7518 0.5820 0.3478  4 O 1.55-1.56
Na 0.0077 0.2527 0.8843  6 O 2.30-2.56
P 0.2511 0.4252 0.1489  4 O 1.54-1.59
Na 0.7406 0.9163 0.3889  6 O 2.43-2.63
C 0.2467 0.9338 0.3656  3 O 1.28-1.33
O 0.4394 0.3331 0.1135  1 P 1.55
Mn 0.7481 0.3567 0.6103  5 O 2.03-2.19
Na 0.7407 0.9168 0.8753  6 O 2.48-2.78
O 0.5672 0.6738 0.8920  1 P 1.56
P 0.2480 0.4181 0.6486  4 O 1.53-1.58
Na 0.9878 0.7373 0.6235  4 O 2.27-2.44
O 0.2508 0.4458 0.7970  1 P 1.58
Na 0.4980 0.7513 0.1261  4 O 2.28-2.52
O 0.2484 0.0747 0.3727  1 C 1.28
P 0.7519 0.5787 0.8516  4 O 1.54-1.56
Na 0.0059 0.2557 0.3687  4 O 2.31-2.52
O 0.7590 0.5581 0.2005  1 P 1.56
O 0.7465 0.1339 0.5262  1 C 1.32
O 0.2512 0.4513 0.2986  1 P 1.59
O 0.5645 0.6785 0.3776  1 P 1.55
O 0.7496 0.1442 0.2383  1 C 1.30
Na 0.4920 0.2535 0.8856  6 O 2.29-2.56
O 0.2508 0.5754 0.0823  1 P 1.54
C 0.7502 0.0634 0.1350  3 O 1.28-1.31
O 0.7482 0.4307 0.4135  1 P 1.55
O 0.2508 0.8558 0.2625  1 C 1.29
Na 0.2593 0.0707 0.6192  6 O 2.44-2.60
O 0.2571 0.8629 0.9688  1 C 1.32
O 0.4333 0.3236 0.6120  1 P 1.55
O 0.2407 0.5665 0.5814  1 P 1.53
O 0.7454 0.1463 0.7395  1 C 1.31
Na 0.4933 0.2554 0.3668  4 O 2.30-2.51
O 0.7494 0.1304 0.0257  1 C 1.31
O 0.9378 0.6776 0.3888  1 P 1.56
O 0.2502 0.0752 0.8575  1 C 1.28
O 0.2431 0.8594 0.4732  1 C 1.33
Na 0.0049 0.7520 0.1234  6 O 2.29-2.57
C 0.2462 0.9339 0.8610  3 O 1.28-1.32
O 0.7514 0.4275 0.9176  1 P 1.55
Mn 0.2565 0.6479 0.3959  5 O 2.04-2.13

Computed properties:
Its space group is No. 1.

We find arrangement 1 to be the most stable, with the next structure 0.5 kJ/mol of atoms higher.